No. 1
Computed, not measured: a relaxed structure of YbU2S3O2 at the r2SCAN level of DFT.

Computed properties:
Total magnetization: 9.76 Bohr magnetons per cell
SG: I4/mmm, No. 139
Energy relative to the elements: -2153.1 kJ/mol of formula units
Final energy: -509.55 eV/cell

Lattice parameters (Å, degrees): 3.8291 3.8291 20.7379 90.00 90.00 90.00
With the nearest neighbours (Å) after each atom.
Atoms (fractional coordinates):
Yb (0.0000, 0.0000, 0.0000)  6 S 2.64-2.71
Yb (0.5000, 0.5000, 0.5000)  6 S 2.64-2.71
U (0.0000, 0.0000, 0.3143)  4 O 2.33
U (0.0000, 0.0000, 0.6857)  4 O 2.33
U (0.5000, 0.5000, 0.1857)  4 O 2.33
U (0.5000, 0.5000, 0.8143)  4 O 2.33
S (0.0000, 0.0000, 0.1274)  1 Yb 2.64
S (0.0000, 0.0000, 0.5000)  4 Yb 2.71
S (0.0000, 0.0000, 0.8726)  1 Yb 2.64
S (0.5000, 0.5000, 0.0000)  4 Yb 2.71
S (0.5000, 0.5000, 0.3726)  1 Yb 2.64
S (0.5000, 0.5000, 0.6274)  1 Yb 2.64
O (0.0000, 0.5000, 0.2500)  4 U 2.33
O (0.0000, 0.5000, 0.7500)  4 U 2.33
O (0.5000, 0.0000, 0.2500)  4 U 2.33
O (0.5000, 0.0000, 0.7500)  4 U 2.33

No. 2
Computed, not measured: a relaxed structure of CeAl2Ag3 at the r2SCAN level of DFT.

Computed properties:
Total magnetization: 2.23 Bohr magnetons per cell
SG: Cmmm, No. 65
Energy relative to the elements: -188.2 kJ/mol of formula units
Final energy: -220.65 eV/cell

Lattice parameters (Å, degrees): 5.4404 9.7208 4.5008 90.00 90.00 90.00
With the nearest neighbours (Å) after each atom.
Atoms (fractional coordinates):
Ce (0.0000, 0.0000, 0.0000)  6 Ag 3.14-3.22
Ce (0.5000, 0.5000, 0.0000)  6 Ag 3.14-3.22
Al (0.2500, 0.2500, 0.5000)  2 Al 2.72, 6 Ag 2.72-2.78
Al (0.2500, 0.7500, 0.5000)  2 Al 2.72, 6 Ag 2.72-2.78
Al (0.7500, 0.2500, 0.5000)  2 Al 2.72, 6 Ag 2.72-2.78
Al (0.7500, 0.7500, 0.5000)  2 Al 2.72, 6 Ag 2.72-2.78
Ag (0.0000, 0.3231, 0.0000)  4 Al 2.72, 2 Ag 2.83
Ag (0.0000, 0.5000, 0.5000)  4 Al 2.78, 4 Ag 2.83
Ag (0.0000, 0.6769, 0.0000)  4 Al 2.72, 2 Ag 2.83
Ag (0.5000, 0.0000, 0.5000)  4 Al 2.78, 4 Ag 2.83
Ag (0.5000, 0.1769, 0.0000)  4 Al 2.72, 2 Ag 2.83
Ag (0.5000, 0.8231, 0.0000)  4 Al 2.72, 2 Ag 2.83

No. 3
Computed, not measured: a relaxed structure of AlTe2Cl4 at the r2SCAN level of DFT.

Computed properties:
Total magnetization: 0.00 Bohr magnetons per cell
SG: Pbca, No. 61
Energy relative to the elements: -753.5 kJ/mol of formula units
Final energy: -719.89 eV/cell

Lattice parameters (Å, degrees): 11.2187 13.9307 12.1883 90.00 90.00 90.00
With the nearest neighbours (Å) after each atom.
Atoms (fractional coordinates):
Al (0.1029, 0.1427, 0.0905)  4 Cl 2.12-2.17
Al (0.1029, 0.3573, 0.5905)  4 Cl 2.12-2.17
Al (0.3971, 0.6427, 0.0905)  4 Cl 2.12-2.17
Al (0.3971, 0.8573, 0.5905)  4 Cl 2.12-2.17
Al (0.6029, 0.1427, 0.4095)  4 Cl 2.12-2.17
Al (0.6029, 0.3573, 0.9095)  4 Cl 2.12-2.17
Al (0.8971, 0.6427, 0.4095)  4 Cl 2.12-2.17
Al (0.8971, 0.8573, 0.9095)  4 Cl 2.12-2.17
Te (0.0078, 0.0671, 0.6363)  2 Te 2.70
Te (0.0078, 0.4329, 0.1363)  2 Te 2.70
Te (0.1168, 0.0845, 0.4402)  2 Te 2.70
Te (0.1168, 0.4155, 0.9402)  2 Te 2.70
Te (0.3832, 0.5845, 0.4402)  2 Te 2.70
Te (0.3832, 0.9155, 0.9402)  2 Te 2.70
Te (0.4922, 0.5671, 0.6363)  2 Te 2.70
Te (0.4922, 0.9329, 0.1363)  2 Te 2.70
Te (0.5078, 0.0671, 0.8637)  2 Te 2.70
Te (0.5078, 0.4329, 0.3637)  2 Te 2.70
Te (0.6168, 0.0845, 0.0598)  2 Te 2.70
Te (0.6168, 0.4155, 0.5598)  2 Te 2.70
Te (0.8832, 0.5845, 0.0598)  2 Te 2.70
Te (0.8832, 0.9155, 0.5598)  2 Te 2.70
Te (0.9922, 0.5671, 0.8637)  2 Te 2.70
Te (0.9922, 0.9329, 0.3637)  2 Te 2.70
Cl (0.0732, 0.6711, 0.3536)  1 Al 2.13
Cl (0.0732, 0.8289, 0.8536)  1 Al 2.13
Cl (0.1159, 0.1153, 0.9196)  1 Al 2.12
Cl (0.1159, 0.3847, 0.4196)  1 Al 2.12
Cl (0.1767, 0.0235, 0.1828)  1 Al 2.17
Cl (0.1767, 0.4765, 0.6828)  1 Al 2.17
Cl (0.2139, 0.2343, 0.6286)  1 Al 2.17
Cl (0.2139, 0.2657, 0.1286)  1 Al 2.17
Cl (0.2861, 0.7343, 0.6286)  1 Al 2.17
Cl (0.2861, 0.7657, 0.1286)  1 Al 2.17
Cl (0.3233, 0.5235, 0.1828)  1 Al 2.17
Cl (0.3233, 0.9765, 0.6828)  1 Al 2.17
Cl (0.3841, 0.6153, 0.9196)  1 Al 2.12
Cl (0.3841, 0.8847, 0.4196)  1 Al 2.12
Cl (0.4268, 0.1711, 0.3536)  1 Al 2.13
Cl (0.4268, 0.3289, 0.8536)  1 Al 2.13
Cl (0.5732, 0.6711, 0.1464)  1 Al 2.13
Cl (0.5732, 0.8289, 0.6464)  1 Al 2.13
Cl (0.6159, 0.1153, 0.5804)  1 Al 2.12
Cl (0.6159, 0.3847, 0.0804)  1 Al 2.12
Cl (0.6767, 0.0235, 0.3172)  1 Al 2.17
Cl (0.6767, 0.4765, 0.8172)  1 Al 2.17
Cl (0.7139, 0.2343, 0.8714)  1 Al 2.17
Cl (0.7139, 0.2657, 0.3714)  1 Al 2.17
Cl (0.7861, 0.7343, 0.8714)  1 Al 2.17
Cl (0.7861, 0.7657, 0.3714)  1 Al 2.17
Cl (0.8233, 0.5235, 0.3172)  1 Al 2.17
Cl (0.8233, 0.9765, 0.8172)  1 Al 2.17
Cl (0.8841, 0.6153, 0.5804)  1 Al 2.12
Cl (0.8841, 0.8847, 0.0804)  1 Al 2.12
Cl (0.9268, 0.1711, 0.1464)  1 Al 2.13
Cl (0.9268, 0.3289, 0.6464)  1 Al 2.13

No. 4
Computed, not measured: a relaxed structure of Ba5As3 at the r2SCAN level of DFT.

Computed properties:
Total magnetization: 2.00 Bohr magnetons per cell
SG: P6_3/mcm, No. 193
Energy relative to the elements: -918.2 kJ/mol of formula units
Final energy: -372.27 eV/cell

Lattice parameters (Å, degrees): 9.5482 9.5482 7.7527 90.00 90.00 120.00
With the nearest neighbours (Å) after each atom.
Atoms (fractional coordinates):
Ba (0.0000, 0.2574, 0.2500)  3 As 3.30-3.34
Ba (0.0000, 0.7426, 0.7500)  3 As 3.30-3.34
Ba (0.2574, 0.0000, 0.2500)  3 As 3.30-3.34
Ba (0.2574, 0.2574, 0.7500)  3 As 3.30-3.34
Ba (0.3333, 0.6667, 0.0000)  6 As 3.52, 2 Ba 3.88
Ba (0.3333, 0.6667, 0.5000)  6 As 3.52, 2 Ba 3.88
Ba (0.6667, 0.3333, 0.0000)  6 As 3.52, 2 Ba 3.88
Ba (0.6667, 0.3333, 0.5000)  6 As 3.52, 2 Ba 3.88
Ba (0.7426, 0.0000, 0.7500)  3 As 3.30-3.34
Ba (0.7426, 0.7426, 0.2500)  3 As 3.30-3.34
As (0.0000, 0.3923, 0.7500)  7 Ba 3.30-3.52
As (0.0000, 0.6077, 0.2500)  7 Ba 3.30-3.52
As (0.3923, 0.0000, 0.7500)  7 Ba 3.30-3.52
As (0.3923, 0.3923, 0.2500)  7 Ba 3.30-3.52
As (0.6077, 0.0000, 0.2500)  7 Ba 3.30-3.52
As (0.6077, 0.6077, 0.7500)  7 Ba 3.30-3.52